(1)
The following is a DFT calculation (GGA-PBE) of PrZnGe after structural relaxation.

Properties
Density, g/cm³: 6.8
DFT total energy, eV for the cell shown: -50.93

a b c (Å): 4.3073 4.3073 16.8876
angles (deg): 90.00 90.00 120.00
Space group P6_3/mmc (No. 194)
One atom of each set of equivalent atoms:
1 Pr 0.0000 0.0000 0.0000 x2
2 Pr 0.0000 0.0000 0.2500 x2
3 Zn 0.3333 0.6667 0.1377 x4
4 Ge 0.3333 0.6667 0.6181 x4



(2)
The following is a DFT calculation (GGA-PBE) of LuAl10Os2 after structural relaxation.

Properties
Density, g/cm³: 6.4
DFT total energy, eV for the cell shown: -280.79

a b c (Å): 9.1270 10.2290 9.1290
angles (deg): 90.00 90.00 90.00
Space group Cmcm (No. 63)
One atom of each set of equivalent atoms:
1 Lu 0.0000 0.1312 0.2500 x4
2 Al 0.0000 0.1546 0.6008 x8
3 Al 0.0000 0.3760 0.0464 x8
4 Al 0.1510 0.3679 0.7500 x8
5 Al 0.2168 0.3650 0.2500 x8
6 Al 0.2242 0.0000 0.0000 x8
7 Os 0.2500 0.2500 0.0000 x8